Entry 1:
A relaxed structure of ZrRu3C. Source: Materials Project, functional PBE.

Structure (extended XYZ):
```
5
Lattice="4.1025 0.0000 0.0000 0.0000 4.1025 0.0000 0.0000 0.0000 4.1025" Properties=species:S:1:pos:R:3 pbc="T T T"
Zr 0.0000 0.0000 0.0000
Ru 0.0000 2.0513 2.0513
Ru 2.0513 0.0000 2.0513
Ru 2.0513 2.0513 0.0000
C 2.0513 2.0513 2.0513
```

Calculated density = 9.8 Mg/m³
Crystal system = cubic


Entry 2:
A relaxed structure of CS5. Source: Materials Project, functional PBE.

Structure (extended XYZ):
```
48
Lattice="10.8724 0.0000 0.0000 0.0000 14.1910 0.0000 0.0000 0.0000 31.2215" Properties=species:S:1:pos:R:3 pbc="T T T"
C 1.9867 3.5477 3.0407
C 2.5846 10.6432 3.1385
C 2.8516 3.5477 18.7492
C 3.4495 10.6432 18.6515
C 7.4229 3.5477 12.5700
C 8.0208 10.6432 12.4723
C 8.2878 3.5477 28.0830
C 8.8858 10.6432 28.1807
S 0.7833 3.5477 4.0292
S 1.2934 8.9611 23.8785
S 1.2934 12.3254 23.8785
S 1.3507 3.5477 11.3548
S 1.8328 10.6432 22.8143
S 2.2465 10.6432 17.6638
S 2.5070 1.1512 9.3062
S 2.5070 5.9443 9.3062
S 2.5483 1.8807 11.2334
S 2.5483 5.2148 11.2334
S 2.8879 8.9762 26.8442
S 2.8879 12.3103 26.8442
S 2.9292 8.2467 24.9169
S 2.9292 13.0398 24.9169
S 3.1897 3.5477 2.0530
S 3.6034 3.5477 7.2035
S 4.0855 10.6432 26.9655
S 4.1428 1.8656 8.2678
S 4.1428 5.2299 8.2678
S 4.6529 10.6432 19.6399
S 6.2195 3.5477 11.5816
S 6.7296 8.9611 22.9537
S 6.7296 12.3254 22.9537
S 6.7870 3.5477 4.2560
S 7.2690 10.6432 24.0179
S 7.6827 10.6432 29.1684
S 7.9433 1.1512 6.3046
S 7.9433 5.9443 6.3046
S 7.9846 1.8807 4.3773
S 7.9846 5.2148 4.3773
S 8.3241 8.9762 19.9880
S 8.3241 12.3103 19.9880
S 8.3654 8.2467 21.9153
S 8.3654 13.0398 21.9153
S 8.6260 3.5477 13.5577
S 9.0396 3.5477 8.4072
S 9.5217 10.6432 19.8667
S 9.5790 1.8656 7.3430
S 9.5790 5.2299 7.3430
S 10.0892 10.6432 27.1923
```

Calculated density = 0.5 Mg/m³
Crystal system = orthorhombic


| no. | uncorrected energy (eV/atom) | calculated formation energy (eV per atom) |
| --- | --- | --- |
| 1 | -9.446 | -0.326 |
| 2 | -4.249 | 0.317 |